Record 1
The following is a DFT calculation (PBE) of a geometry-optimized Lu2TiO5 structure.

```
data_Lu2TiO5
_chemical_formula_sum 'Lu16 Ti8 O40'
_space_group_name_H-M_alt 'P 1'
_space_group_IT_number 1
_cell_length_a 7.2665
_cell_length_b 7.3071
_cell_length_c 17.5086
_cell_angle_alpha 88.85
_cell_angle_beta 89.90
_cell_angle_gamma 60.66
loop_
_space_group_symop_operation_xyz
'x,y,z'
loop_
_atom_site_label
_atom_site_type_symbol
_atom_site_fract_x
_atom_site_fract_y
_atom_site_fract_z
Lu1 Lu 0.0000 0.0000 0.0000
Lu2 Lu 0.0017 0.5175 0.0036
Lu3 Lu 0.0100 0.4882 0.4978
Lu4 Lu 0.1588 0.1911 0.8429
Lu5 Lu 0.1762 0.6470 0.3431
Lu6 Lu 0.2909 0.8678 0.1844
Lu7 Lu 0.3026 0.3533 0.1814
Lu8 Lu 0.3390 0.3168 0.6662
Lu9 Lu 0.4735 0.0074 0.0018
Lu10 Lu 0.4941 0.4896 0.4985
Lu11 Lu 0.6464 0.6994 0.3408
Lu12 Lu 0.6495 0.7090 0.8314
Lu13 Lu 0.6707 0.1531 0.8326
Lu14 Lu 0.8148 0.3755 0.6636
Lu15 Lu 0.8458 0.8146 0.1709
Lu16 Lu 0.9726 0.0281 0.4975
Ti1 Ti 0.1386 0.6745 0.8381
Ti2 Ti 0.1564 0.1736 0.3429
Ti3 Ti 0.3262 0.8186 0.6732
Ti4 Ti 0.4828 0.0211 0.5100
Ti5 Ti 0.4957 0.5113 0.0024
Ti6 Ti 0.6557 0.1835 0.3368
Ti7 Ti 0.8422 0.3210 0.1678
Ti8 Ti 0.8436 0.8246 0.6685
O1 O 0.0464 0.9040 0.6411
O2 O 0.1265 0.2042 0.7204
O3 O 0.1301 0.1957 0.2255
O4 O 0.1364 0.1955 0.9737
O5 O 0.1413 0.7055 0.4656
O6 O 0.1716 0.6642 0.2167
O7 O 0.2015 0.6493 0.9474
O8 O 0.2106 0.1266 0.4534
O9 O 0.2994 0.8828 0.3213
O10 O 0.3116 0.4093 0.7971
O11 O 0.3237 0.7651 0.7876
O12 O 0.3297 0.8337 0.0607
O13 O 0.3307 0.3296 0.5408
O14 O 0.3373 0.9831 0.5942
O15 O 0.3544 0.3322 0.0617
O16 O 0.3591 0.2716 0.3180
O17 O 0.4374 0.5612 0.6268
O18 O 0.4920 0.0132 0.8745
O19 O 0.5176 0.4927 0.3737
O20 O 0.6197 0.7300 0.2140
O21 O 0.6218 0.7465 0.4689
O22 O 0.6232 0.6515 0.9546
O23 O 0.6423 0.2837 0.2277
O24 O 0.6429 0.2621 0.9513
O25 O 0.6431 0.7117 0.7048
O26 O 0.6496 0.1259 0.4503
O27 O 0.6641 0.2132 0.7141
O28 O 0.6736 0.4324 0.0857
O29 O 0.6828 0.9851 0.5891
O30 O 0.7987 0.8970 0.3077
O31 O 0.8029 0.8589 0.0441
O32 O 0.8265 0.3394 0.5427
O33 O 0.8687 0.8247 0.7825
O34 O 0.9135 0.1633 0.3674
O35 O 0.9621 0.0493 0.1319
O36 O 0.9671 0.5168 0.8729
O37 O 0.9783 0.4978 0.1317
O38 O 0.9807 0.4938 0.3711
O39 O 0.9899 0.0200 0.8729
O40 O 0.9974 0.5572 0.6280
```

The calculation puts the electronic total energy at -549.3 eV per cell. Its density is 7.8 Mg/m³. The calculation puts the MP2020-corrected energy at -576.73 eV/cell. For the energy relative to the elements, the calculation gives -3.802 eV per atom.


Record 2
The following is a DFT calculation (PBE) of a geometry-optimized Lu2TiO5 structure.

```
data_Lu2TiO5
_chemical_formula_sum 'Lu8 Ti4 O20'
_space_group_name_H-M_alt 'C 1 2/c 1'
_space_group_IT_number 15
_cell_length_a 11.4012
_cell_length_b 5.2322
_cell_length_c 7.4655
_cell_angle_alpha 90.00
_cell_angle_beta 113.33
_cell_angle_gamma 90.00
loop_
_space_group_symop_operation_xyz
'x,y,z'
'-x,-y,-z'
'-x,y,-z+1/2'
'x,-y,z+1/2'
'x+1/2,y+1/2,z'
'-x+1/2,-y+1/2,-z'
'-x+1/2,y+1/2,-z+1/2'
'x+1/2,-y+1/2,z+1/2'
loop_
_atom_site_label
_atom_site_type_symbol
_atom_site_fract_x
_atom_site_fract_y
_atom_site_fract_z
Lu1 Lu 0.1371 0.0053 0.2455
Ti1 Ti 0.0000 0.5000 0.0000
O1 O 0.0000 0.3255 0.2500
O2 O 0.0725 0.1783 0.9540
O3 O 0.1719 0.3570 0.6425
```

The calculation puts the electronic total energy at -276.3 eV per cell. Its density is 7.8 Mg/m³. The calculation puts the MP2020-corrected energy at -290.06 eV/cell. For the energy relative to the elements, the calculation gives -3.855 eV per atom.


Record 3
The following is a DFT calculation (PBE) of a geometry-optimized Lu2TiO5 structure.

```
data_Lu2TiO5
_chemical_formula_sum 'Lu8 Ti4 O20'
_space_group_name_H-M_alt 'C m c m'
_space_group_IT_number 63
_space_group_name_Hall '-C 2c 2'
_cell_length_a 4.0360
_cell_length_b 10.7425
_cell_length_c 10.3609
_cell_angle_alpha 90.00
_cell_angle_beta 90.00
_cell_angle_gamma 90.00
loop_
_atom_site_label
_atom_site_type_symbol
_atom_site_fract_x
_atom_site_fract_y
_atom_site_fract_z
Lu1 Lu 0.0000 0.1425 0.0683
Ti1 Ti 0.0000 0.1756 0.7500
O1 O 0.0000 0.0512 0.6229
O2 O 0.0000 0.2678 0.2500
O3 O 0.0000 0.2945 0.5879
```

The calculation puts the electronic total energy at -277.1 eV per cell. Its density is 7.1 Mg/m³. The calculation puts the MP2020-corrected energy at -290.83 eV/cell. For the energy relative to the elements, the calculation gives -3.879 eV per atom.


Record 4
The following is a DFT calculation (PBE) of a geometry-optimized LuTiO3 structure.

```
data_LuTiO3
_chemical_formula_sum 'Lu4 Ti4 O12'
_space_group_name_H-M_alt 'P n m a'
_space_group_IT_number 62
_cell_length_a 5.6480
_cell_length_b 7.6203
_cell_length_c 5.2646
_cell_angle_alpha 90.00
_cell_angle_beta 90.00
_cell_angle_gamma 90.00
loop_
_space_group_symop_operation_xyz
'x,y,z'
'-x,-y,-z'
'-x+1/2,-y,z+1/2'
'x+1/2,y,-z+1/2'
'x+1/2,-y+1/2,-z+1/2'
'-x+1/2,y+1/2,z+1/2'
'-x,y+1/2,-z'
'x,-y+1/2,z'
loop_
_atom_site_label
_atom_site_type_symbol
_atom_site_fract_x
_atom_site_fract_y
_atom_site_fract_z
Lu1 Lu 0.0734 0.2500 0.0222
Ti1 Ti 0.0000 0.0000 0.5000
O1 O 0.0570 0.7500 0.3653
O2 O 0.1918 0.5631 0.8166
```

The calculation puts the electronic total energy at -173.9 eV per cell. Its density is 7.9 Mg/m³. The calculation puts the MP2020-corrected energy at -182.13 eV/cell. For the energy relative to the elements, the calculation gives -3.654 eV per atom.


Number 1: total magnetization 0.000 μB/atom. Number 2: total magnetization 0.000 μB/atom. Number 3: total magnetization 0.000 μB/atom. Number 4: total magnetization 0.200 μB/atom.